(1)
DFT (PBE) results for Al3Co20B6 after structural relaxation.

a = 7.3988 Å, b = 7.3988 Å, c = 7.3988 Å
α = 60.00°, β = 60.00°, γ = 60.00°
Sites, in units of the cell vectors:
Co: 0.3825 0.3825 0.8526
Co: 0.6596 0.0000 0.3404
Co: 0.0000 0.0000 0.6596
Co: 0.6175 0.6175 0.6175
Co: 0.0000 0.3404 0.0000
Co: 0.8526 0.3825 0.3825
Co: 0.0000 0.6596 0.0000
Co: 0.6596 0.3404 0.0000
Co: 0.0000 0.0000 0.3404
Co: 0.3825 0.3825 0.3825
Co: 0.1474 0.6175 0.6175
Co: 0.3825 0.8526 0.3825
Co: 0.6175 0.1474 0.6175
Co: 0.6596 0.0000 0.0000
Co: 0.3404 0.0000 0.6596
Co: 0.3404 0.6596 0.0000
Co: 0.6175 0.6175 0.1474
Co: 0.0000 0.3404 0.6596
Co: 0.3404 0.0000 0.0000
Co: 0.0000 0.6596 0.3404
B: 0.2766 0.7234 0.7234
B: 0.2766 0.7234 0.2766
B: 0.2766 0.2766 0.7234
B: 0.7234 0.7234 0.2766
B: 0.7234 0.2766 0.2766
B: 0.7234 0.2766 0.7234
Al: 0.7500 0.7500 0.7500
Al: 0.0000 0.0000 0.0000
Al: 0.2500 0.2500 0.2500

Values from the calculation:
As for the space group: Fm-3m, No. 225. As for the electronic total energy: -0.25573 hartree per atom. The formation energy comes out at -0.287 eV/atom.


(2)
DFT (PBE) results for TiCl3 after structural relaxation.

a = 6.0981 Å, b = 6.0981 Å, c = 19.3379 Å
α = 89.87°, β = 89.87°, γ = 119.63°
Sites, in units of the cell vectors:
Cl: 0.6454 0.9996 0.9283
Cl: 0.3175 0.9639 0.5940
Cl: 0.9639 0.3175 0.5940
Cl: 0.3505 0.3505 0.9252
Cl: 0.3303 0.3303 0.4095
Cl: 0.6697 0.6697 0.5905
Cl: 0.6495 0.6495 0.0748
Cl: 0.6824 0.3284 0.2630
Cl: 0.3546 0.0004 0.0717
Cl: 0.0356 0.0356 0.2593
Cl: 0.9644 0.9644 0.7407
Cl: 0.0004 0.3546 0.0717
Cl: 0.0361 0.6825 0.4060
Cl: 0.9996 0.6454 0.9283
Cl: 0.3176 0.6716 0.7370
Cl: 0.3284 0.6824 0.2630
Cl: 0.6716 0.3176 0.7370
Cl: 0.6825 0.0361 0.4060
Ti: 0.3406 0.6594 0.0000
Ti: 0.6580 0.9771 0.6655
Ti: 0.0229 0.3420 0.3345
Ti: 0.9771 0.6580 0.6655
Ti: 0.3420 0.0229 0.3345
Ti: 0.6594 0.3406 0.0000

Values from the calculation:
As for the space group: C2/m, No. 12. As for the electronic total energy: -0.18176 hartree per atom. As for the MP2020-corrected energy: -5.406 eV per atom. The formation energy comes out at -2.046 eV/atom.